A plane-wave DFT calculation with PBE was carried out for a geometry-optimized K3AsF6 structure.

Unit cell a=6.7889 b=6.8014 c=6.8459 alpha=101.10 beta=100.36 gamma=105.56
Fractional coordinates of all 10 atoms:
K 0.0000 0.0000 0.0000
K 0.0000 0.5000 0.5000
K 0.5000 0.0000 0.5000
As 0.0000 0.0000 0.5000
F 0.0561 0.7797 0.2780
F 0.2111 0.9240 0.7125
F 0.2326 0.2231 0.4265
F 0.7674 0.7769 0.5735
F 0.7889 0.0760 0.2875
F 0.9439 0.2203 0.7220

ΔE_f ... -2.7268 eV/atom
E ... -44.0 eV for the cell shown
Total magnetic moment ... 0.00 μB/f.u.
Energy with MP2020 corrections ... -4.675 eV per atom